Entry 1:
VASP calculation (PBE) on Al2Cu3O6 after structural relaxation.

abc: 5.8920 5.8920 8.8307
angles: 60.35 60.35 28.30
Element x y z (fractional)
Al  0.3344  0.3344  0.8274
Al  0.6656  0.6656  0.1726
Cu  0.0000  0.0000  0.0000
Cu  0.6646  0.6646  0.6707
Cu  0.3354  0.3354  0.3293
O  0.7947  0.7947  0.7261
O  0.4814  0.4814  0.3430
O  0.1455  0.1455  0.0367
O  0.8545  0.8545  0.9633
O  0.5186  0.5186  0.6570
O  0.2053  0.2053  0.2739

Computed properties:
Energy above the most stable polymorph in this dataset = 2 meV per atom
Energy of formation = -1.7557 eV per atom
Raw total energy = -0.216 hartree per atom

***

Entry 2:
VASP calculation (PBE) on Mg6NbB after structural relaxation.

abc: 4.7503 5.6286 11.1444
angles: 90.00 90.00 90.00
Element x y z (fractional)
Mg  0.5000  0.2495  0.4287
Mg  0.5000  0.7505  0.4287
Mg  0.0000  0.7526  0.0813
Mg  0.0000  0.2474  0.0813
Mg  0.0000  0.0000  0.3287
Mg  0.0000  0.5000  0.3079
Mg  0.5000  0.7495  0.9287
Mg  0.5000  0.2505  0.9287
Mg  0.0000  0.2526  0.5813
Mg  0.0000  0.7474  0.5813
Mg  0.0000  0.5000  0.8287
Mg  0.0000  0.0000  0.8079
Nb  0.5000  0.0000  0.1805
Nb  0.5000  0.5000  0.6805
B  0.5000  0.5000  0.1629
B  0.5000  0.0000  0.6629

Computed properties:
Energy above the most stable polymorph in this dataset = 76 meV per atom
Energy of formation = 0.4393 eV per atom
Raw total energy = -0.105 hartree per atom